1.
## KCSN (PBE)

Data for an optimized crystal structure of KCSN.

a = 6.754 Å, b = 7.832 Å, c = 8.011 Å
α = 90.00°, β = 90.00°, γ = 90.00°
Atoms (fractional coordinates):
K1 0.750 0.744 0.503
K2 0.250 0.744 0.997
K3 0.250 0.256 0.497
K4 0.750 0.256 0.003
S1 0.250 0.831 0.588
S2 0.250 0.169 0.088
S3 0.750 0.831 0.912
S4 0.750 0.169 0.412
C1 0.250 0.688 0.437
C2 0.750 0.312 0.563
C3 0.250 0.312 0.937
C4 0.750 0.688 0.063
N1 0.750 0.586 0.174
N2 0.250 0.414 0.826
N3 0.250 0.586 0.326
N4 0.750 0.414 0.674

Results
ΔE_f = -0.61 eV/atom
E_tot = -97.48 eV per cell
crystal system = orthorhombic
space-group type = Pbcm, No. 57

2.
## KCSN (PBE)

Data for an optimized crystal structure of KCSN.

a = 6.201 Å, b = 6.201 Å, c = 6.201 Å
α = 114.05°, β = 113.96°, γ = 100.75°
Atoms (fractional coordinates):
N1 0.604 0.649 0.753
N2 0.396 0.149 0.045
C1 0.273 0.023 0.796
C2 0.727 0.523 0.750
K1 0.000 0.250 0.250
K2 0.500 0.750 0.250
S1 0.900 0.352 0.751
S2 0.100 0.852 0.452

Results
ΔE_f = -0.62 eV/atom
E_tot = -48.89 eV per cell
crystal system = orthorhombic
space-group type = Ima2, No. 46

3.
## KCSN (PBE)

Data for an optimized crystal structure of KCSN.

a = 6.480 Å, b = 6.516 Å, c = 11.139 Å
α = 90.00°, β = 90.00°, γ = 90.00°
Atoms (fractional coordinates):
K1 0.250 0.772 0.887
K2 0.750 0.228 0.113
K3 0.750 0.772 0.613
K4 0.250 0.228 0.387
S1 0.750 0.900 0.896
S2 0.750 0.100 0.396
S3 0.250 0.100 0.104
S4 0.250 0.900 0.604
N1 0.250 0.354 0.897
N2 0.750 0.646 0.103
N3 0.250 0.646 0.397
N4 0.750 0.354 0.603
C1 0.250 0.252 0.985
C2 0.750 0.252 0.515
C3 0.750 0.748 0.015
C4 0.250 0.748 0.485

Results
ΔE_f = -0.59 eV/atom
E_tot = -97.23 eV per cell
crystal system = orthorhombic
space-group type = Pbcm, No. 57

4.
## KCSeN (PBE)

Data for an optimized crystal structure of KCSeN.

a = 7.751 Å, b = 4.604 Å, c = 12.035 Å
α = 79.66°, β = 90.00°, γ = 90.00°
Atoms (fractional coordinates):
Se1 0.552 0.039 0.302
Se2 0.948 0.039 0.802
Se3 0.448 0.961 0.698
Se4 0.052 0.961 0.198
C1 0.277 0.841 0.616
C2 0.777 0.159 0.884
C3 0.223 0.841 0.116
C4 0.723 0.159 0.384
N1 0.836 0.238 0.439
N2 0.164 0.762 0.561
N3 0.336 0.762 0.061
N4 0.664 0.238 0.939
K1 0.696 0.629 0.097
K2 0.196 0.371 0.403
K3 0.304 0.371 0.903
K4 0.804 0.629 0.597

Results
ΔE_f = -0.41 eV/atom
E_tot = -93.82 eV per cell
crystal system = monoclinic
space-group type = P2_1/c, No. 14

5.
## K2ZnC4N4 (PBE)

Data for an optimized crystal structure of K2ZnC4N4.

a = 8.979 Å, b = 8.979 Å, c = 8.979 Å
α = 60.00°, β = 60.00°, γ = 60.00°
Atoms (fractional coordinates):
Zn1 0.500 0.500 0.500
Zn2 0.750 0.750 0.750
N1 0.935 0.355 0.355
N2 0.315 0.895 0.895
N3 0.355 0.935 0.355
N4 0.355 0.355 0.935
N5 0.355 0.355 0.355
N6 0.895 0.315 0.895
N7 0.895 0.895 0.315
N8 0.895 0.895 0.895
K1 0.625 0.125 0.125
K2 0.125 0.125 0.625
K3 0.125 0.125 0.125
K4 0.125 0.625 0.125
C1 0.408 0.408 0.775
C2 0.475 0.842 0.842
C3 0.775 0.408 0.408
C4 0.408 0.408 0.408
C5 0.842 0.475 0.842
C6 0.842 0.842 0.842
C7 0.408 0.775 0.408
C8 0.842 0.842 0.475

Results
ΔE_f = -0.27 eV/atom
E_tot = -150.55 eV per cell
crystal system = cubic
space-group type = Fd-3m, No. 227

6.
## K2ZnC4N4 (PBE)

Data for an optimized crystal structure of K2ZnC4N4.

a = 15.380 Å, b = 15.380 Å, c = 15.380 Å
α = 32.44°, β = 32.44°, γ = 32.44°
Atoms (fractional coordinates):
K1 0.168 0.750 0.332
K2 0.500 0.500 0.500
K3 0.250 0.668 0.832
K4 0.000 0.000 0.000
K5 0.750 0.332 0.168
K6 0.668 0.832 0.250
K7 0.832 0.250 0.668
K8 0.332 0.168 0.750
C1 0.726 0.047 0.623
C2 0.623 0.726 0.047
C3 0.774 0.877 0.453
C4 0.226 0.123 0.547
C5 0.877 0.453 0.774
C6 0.047 0.623 0.726
C7 0.639 0.639 0.639
C8 0.139 0.139 0.139
C9 0.861 0.861 0.861
C10 0.547 0.226 0.123
C11 0.123 0.547 0.226
C12 0.274 0.953 0.377
C13 0.953 0.377 0.274
C14 0.453 0.774 0.877
C15 0.361 0.361 0.361
C16 0.377 0.274 0.953
N1 0.316 0.830 0.984
N2 0.184 0.516 0.670
N3 0.830 0.984 0.316
N4 0.612 0.612 0.612
N5 0.816 0.484 0.330
N6 0.112 0.112 0.112
N7 0.170 0.016 0.684
N8 0.016 0.684 0.170
N9 0.516 0.670 0.184
N10 0.330 0.816 0.484
N11 0.484 0.330 0.816
N12 0.684 0.170 0.016
N13 0.388 0.388 0.388
N14 0.888 0.888 0.888
N15 0.984 0.316 0.830
N16 0.670 0.184 0.516
Zn1 0.185 0.185 0.185
Zn2 0.685 0.685 0.685
Zn3 0.315 0.315 0.315
Zn4 0.815 0.815 0.815

Results
ΔE_f = -0.26 eV/atom
E_tot = -300.55 eV per cell
crystal system = trigonal
space-group type = R-3c, No. 167

7.
## K3NaUC3O12 (PBE)

Data for an optimized crystal structure of K3NaUC3O12.

a = 8.371 Å, b = 9.407 Å, c = 9.429 Å
α = 119.93°, β = 89.95°, γ = 90.09°
Atoms (fractional coordinates):
O1 0.249 0.370 0.245
O2 0.138 0.001 0.004
O3 0.530 0.667 0.333
O4 0.249 0.756 0.126
O5 0.638 0.997 0.996
O6 0.750 0.968 0.479
O7 0.250 0.033 0.512
O8 0.970 0.667 0.333
O9 0.750 0.521 0.488
O10 0.250 0.489 0.521
O11 0.750 0.847 0.629
O12 0.749 0.245 0.372
O13 0.470 0.334 0.667
O14 0.030 0.333 0.667
O15 0.750 0.370 0.219
O16 0.249 0.873 0.628
O17 0.250 0.479 0.967
O18 0.749 0.782 0.153
O19 0.249 0.630 0.847
O20 0.749 0.630 0.874
O21 0.250 0.152 0.781
O22 0.250 0.218 0.371
O23 0.749 0.126 0.755
O24 0.750 0.512 0.033
U1 0.250 0.334 0.667
U2 0.750 0.667 0.333
K1 0.999 0.709 0.709
K2 0.499 0.291 0.000
K3 0.999 0.001 0.291
K4 0.499 0.710 0.709
K5 0.499 0.000 0.291
K6 0.999 0.291 0.000
C1 0.250 0.013 0.641
C2 0.250 0.359 0.373
C3 0.249 0.628 0.986
C4 0.750 0.373 0.359
C5 0.750 0.986 0.627
C6 0.749 0.641 0.014
Na1 0.250 0.667 0.334
Na2 0.750 0.333 0.666

Results
ΔE_f = -2.24 eV/atom
E_tot = -278.99 eV per cell
crystal system = monoclinic
space-group type = Cc, No. 9

8.
## K3NaUC3O11 (PBE)

Data for an optimized crystal structure of K3NaUC3O11.

a = 9.418 Å, b = 9.418 Å, c = 8.339 Å
α = 90.00°, β = 90.00°, γ = 120.00°
Atoms (fractional coordinates):
O1 0.217 0.368 0.750
O2 0.667 0.333 0.471
O3 0.333 0.667 0.529
O4 0.151 0.783 0.750
O5 0.849 0.632 0.250
O6 0.630 0.873 0.250
O7 0.333 0.667 0.971
O8 0.520 0.487 0.250
O9 0.873 0.630 0.750
O10 0.783 0.151 0.250
O11 0.487 0.520 0.750
O12 0.480 0.967 0.750
O13 0.368 0.217 0.250
O14 0.033 0.513 0.750
O15 0.632 0.849 0.750
O16 0.370 0.243 0.750
O17 0.757 0.127 0.750
O18 0.127 0.757 0.250
O19 0.513 0.033 0.250
O20 0.967 0.480 0.250
O21 0.243 0.370 0.250
O22 0.667 0.333 0.029
K1 0.297 0.000 0.000
K2 0.297 0.000 0.500
K3 0.703 0.703 0.500
K4 0.703 0.703 0.000
K5 0.000 0.297 0.000
K6 0.000 0.297 0.500
C1 0.988 0.629 0.250
C2 0.012 0.642 0.750
C3 0.371 0.358 0.250
C4 0.642 0.012 0.250
C5 0.629 0.988 0.750
C6 0.358 0.371 0.750
Na1 0.333 0.667 0.250
Na2 0.667 0.333 0.750
U1 0.333 0.667 0.750
U2 0.667 0.333 0.250

Results
ΔE_f = -2.46 eV/atom
E_tot = -274.42 eV per cell
crystal system = hexagonal
space-group type = P-62c, No. 190